Record 1
Ca18Eu2P12S3O48: relaxed, GGA-PBE.

Results
Raw total energy in eV per cell: -607.11
Formation energy in eV per formula unit: -270.11
Space group: P1
Corrected total energy (MP2020 scheme) in eV/atom: -7.730
M_tot in μB/f.u.: 13.0

Cell: 9.8470 19.6839 6.6884 Å, 89.97 90.02 120.11°
Element x y z (fractional)
P1 0.9696 0.7984 0.2522
O1 0.5027 0.4287 0.2439
Ca1 0.6631 0.1641 0.0023
O2 0.8550 0.6749 0.7477
Ca2 0.9829 0.6247 0.2499
O3 0.6383 0.3638 0.5625
O4 0.8545 0.1744 0.7495
O5 0.1442 0.3254 0.2447
O6 0.0929 0.1840 0.9357
O7 0.9301 0.8390 0.4239
P2 0.6264 0.0149 0.2524
S1 0.0003 0.0001 0.9986
O8 0.5995 0.7351 0.2507
O9 0.7273 0.5470 0.0616
P3 0.6179 0.5175 0.2461
S2 0.9997 0.5000 0.4984
Ca3 0.7563 0.8709 0.2330
O10 0.4628 0.9356 0.7240
O11 0.8712 0.2001 0.2520
O12 0.1297 0.2960 0.7267
O13 0.5057 0.9263 0.2446
Ca4 0.7549 0.3668 0.2500
P4 0.5847 0.3091 0.7488
O14 0.0771 0.1676 0.5654
O15 0.4968 0.0738 0.7478
O16 0.2782 0.9552 0.9371
O17 0.4009 0.2652 0.7465
O18 0.3457 0.2459 0.2437
P5 0.0323 0.2040 0.7426
Ca5 0.7352 0.9907 0.7594
O19 0.0876 0.6806 0.9346
O20 0.4690 0.4338 0.7476
O21 0.8717 0.7065 0.2768
O22 0.6320 0.8631 0.9350
O23 0.6515 0.7528 0.7482
O24 0.5870 0.2294 0.2790
P6 0.3820 0.4823 0.7469
P7 0.0340 0.7076 0.7473
O25 0.3628 0.6374 0.0584
O26 0.2748 0.4551 0.5594
S3 0.9994 0.4998 0.9996
O27 0.1471 0.8269 0.2438
Ca6 0.3272 0.3302 0.9984
P8 0.3773 0.9848 0.7424
O28 0.6392 0.3631 0.9354
O29 0.9063 0.8149 0.0563
P9 0.4153 0.6911 0.2466
Eu1 0.7514 0.4942 0.7486
Ca7 0.6607 0.6651 0.5066
O30 0.7258 0.5444 0.4321
O31 0.6668 0.8715 0.5646
O32 0.7485 0.0348 0.4225
O33 0.9079 0.3168 0.0593
Eu2 0.2482 0.5060 0.2458
O34 0.0893 0.6811 0.5612
Ca8 0.2655 0.0077 0.2365
O35 0.7213 0.0461 0.0557
O36 0.3594 0.6357 0.4320
O37 0.9119 0.3201 0.4323
O38 0.3517 0.7484 0.2450
Ca9 0.3282 0.8314 0.4879
Ca10 0.3373 0.8353 0.9957
P10 0.4035 0.1858 0.2532
O39 0.4977 0.5712 0.7497
Ca11 0.0185 0.8788 0.7617
P11 0.5922 0.8122 0.7420
O40 0.3210 0.1253 0.4249
Ca12 0.9852 0.1218 0.2328
O41 0.5411 0.0640 0.2799
O42 0.2574 0.9621 0.5672
O43 0.6477 0.2518 0.7499
Ca13 0.3361 0.3333 0.4899
Ca14 0.2428 0.6321 0.7456
O44 0.3719 0.1370 0.0580
O45 0.4079 0.7689 0.7258
P12 0.9652 0.2921 0.2470
Ca15 0.2430 0.1300 0.7624
Ca16 0.6729 0.6706 0.9979
O46 0.2713 0.4537 0.9316
O47 0.1293 0.7997 0.7467
O48 0.5306 0.5658 0.2478
Ca17 0.6746 0.1697 0.5109
Ca18 0.0161 0.3763 0.7462

---

Record 2
Tb3Ge6Pt4: relaxed, GGA-PBE.

Results
Raw total energy in eV per cell: -309.40
Formation energy in eV per formula unit: -11.42
Space group: Pnma

Cell: 4.4016 8.8698 25.9423 Å, 90.00 90.00 90.00°
Element x y z (fractional)
Pt1 0.2500 0.1222 0.1874
Pt2 0.7500 0.3719 0.4554
Ge1 0.7500 0.6275 0.4971
Pt3 0.2500 0.8739 0.6874
Ge2 0.7500 0.5220 0.2146
Ge3 0.7500 0.9780 0.7146
Tb1 0.2500 0.1250 0.7798
Pt4 0.2500 0.6261 0.1874
Ge4 0.2500 0.8772 0.4991
Pt5 0.2500 0.1213 0.5492
Ge5 0.2500 0.3725 0.5029
Ge6 0.7500 0.2274 0.2144
Ge7 0.2500 0.1275 0.0029
Pt6 0.7500 0.1281 0.9554
Tb2 0.2500 0.6139 0.4081
Pt7 0.7500 0.3739 0.8126
Pt8 0.2500 0.6281 0.5446
Tb3 0.2500 0.3653 0.9075
Ge8 0.2500 0.7726 0.7856
Ge9 0.2500 0.6260 0.6390
Tb4 0.2500 0.1347 0.4075
Ge10 0.7500 0.2726 0.7144
Pt9 0.2500 0.8719 0.0446
Ge11 0.7500 0.6259 0.8576
Ge12 0.7500 0.8741 0.3576
Ge13 0.7500 0.1260 0.8610
Tb5 0.7500 0.8750 0.2202
Pt10 0.7500 0.8787 0.4508
Tb6 0.7500 0.1139 0.0919
Pt11 0.2500 0.3778 0.6874
Ge14 0.2500 0.8740 0.1390
Ge15 0.2500 0.1259 0.6424
Tb7 0.2500 0.8861 0.9081
Ge16 0.7500 0.1228 0.5009
Ge17 0.2500 0.7274 0.2856
Ge18 0.7500 0.3740 0.3610
Pt12 0.7500 0.8778 0.8126
Pt13 0.7500 0.1261 0.3126
Tb8 0.7500 0.6250 0.7202
Ge19 0.7500 0.8725 0.9971
Ge20 0.7500 0.3772 0.0009
Tb9 0.2500 0.3750 0.2798
Tb10 0.7500 0.3861 0.5919
Ge21 0.2500 0.4780 0.7854
Pt14 0.2500 0.3787 0.0492
Ge22 0.2500 0.6228 0.9991
Pt15 0.7500 0.6213 0.9508
Pt16 0.7500 0.6222 0.3126
Ge23 0.2500 0.3741 0.1424
Ge24 0.2500 0.0220 0.2854
Tb11 0.7500 0.6347 0.0925
Tb12 0.7500 0.8653 0.5925

---

Record 3
AcN: relaxed, GGA-PBE.

Results
Raw total energy in eV per cell: -29.24
Formation energy in eV per formula unit: -2.53
Space group: P6_3mc
Maximum piezoelectric response in C/m2: 1.01
Corrected total energy (MP2020 scheme) in eV/atom: -7.491

Cell: 4.2553 4.2553 6.4463 Å, 90.00 90.00 120.00°
Element x y z (fractional)
Ac1 0.3333 0.6667 0.9897
N1 0.3333 0.6667 0.3852
N2 0.6667 0.3333 0.8852
Ac2 0.6667 0.3333 0.4897

---

Record 4
PrGa6: relaxed, GGA-PBE.

Results
Raw total energy in eV per cell: -50.74
Formation energy in eV per formula unit: -2.42
Space group: P4/nbm

Cell: 6.0988 6.0988 7.6872 Å, 90.00 90.00 90.00°
Element x y z (fractional)
Pr1 0.5000 0.0000 0.0000
Ga1 0.3028 0.1972 0.6512
Ga2 0.5000 0.5000 0.8373
Ga3 0.3028 0.8028 0.3488
Ga4 0.8028 0.6972 0.3488
Ga5 0.0000 0.0000 0.8373
Ga6 0.8028 0.3028 0.6512
Pr2 0.0000 0.5000 0.0000
Ga7 0.0000 0.0000 0.1627
Ga8 0.6972 0.8028 0.6512
Ga9 0.5000 0.5000 0.1627
Ga10 0.1972 0.3028 0.3488
Ga11 0.6972 0.1972 0.3488
Ga12 0.1972 0.6972 0.6512

---

Record 5
Rb3NbS4: relaxed, GGA-PBE.

Results
Raw total energy in eV per cell: -157.85
Formation energy in eV per formula unit: -11.89
Space group: Pnma
Corrected total energy (MP2020 scheme) in eV/atom: -5.184

Cell: 9.7168 9.8851 11.2888 Å, 90.00 90.00 90.00°
Element x y z (fractional)
Rb1 0.4452 0.7891 0.4559
S1 0.3336 0.4497 0.0821
Rb2 0.8607 0.9233 0.7500
Rb3 0.4452 0.7891 0.0441
Rb4 0.1393 0.0767 0.2500
S2 0.5015 0.0815 0.2500
Rb5 0.3607 0.5767 0.7500
S3 0.0015 0.4185 0.2500
S4 0.3336 0.4497 0.4179
S5 0.4985 0.9185 0.7500
S6 0.8032 0.2552 0.7500
Rb6 0.5548 0.2109 0.9559
Nb1 0.2822 0.0131 0.7500
Rb7 0.9452 0.7109 0.0441
S7 0.1968 0.7448 0.2500
S8 0.6664 0.5503 0.9179
Rb8 0.5548 0.2109 0.5441
S9 0.6968 0.7552 0.2500
S10 0.8336 0.0503 0.4179
Rb9 0.9452 0.7109 0.4559
Nb2 0.7178 0.9869 0.2500
Rb10 0.0548 0.2891 0.9559
Nb3 0.7822 0.4869 0.7500
S11 0.1664 0.9497 0.9179
S12 0.1664 0.9497 0.5821
S13 0.6664 0.5503 0.5821
Rb11 0.6393 0.4233 0.2500
S14 0.3032 0.2448 0.7500
S15 0.8336 0.0503 0.0821
S16 0.9985 0.5815 0.7500
Rb12 0.0548 0.2891 0.5441
Nb4 0.2178 0.5131 0.2500

---

Record 6
CeMg2: relaxed, GGA-PBE.

Results
Raw total energy in eV per cell: -18.39
Formation energy in eV per formula unit: -0.06
Space group: Cmcm

Cell: 9.0782 9.0782 5.2190 Å, 90.00 90.00 159.69°
Element x y z (fractional)
Mg1 0.1257 0.8744 0.2500
Ce1 0.4613 0.5387 0.2500
Mg2 0.8744 0.1257 0.7500
Ce2 0.5387 0.4613 0.7500
Mg3 0.2186 0.7814 0.7500
Mg4 0.7814 0.2186 0.2500